1 | BaNaCeBiO6 PBE-GGA optimized geometry; M_tot = 0.00 μB per formula unit; mass density = 6.23 g/cm³; symmetry = Pnnn (48)
1.0
-8.4926 -1.4136 -0.4027
1.3518 -6.5682 -5.4510
0.5887 -5.4488 6.7115
O Ce Na Bi Ba
24 4 4 4 4
direct
0.2300 0.4950 0.7100
0.2199 0.2860 0.9946
0.5046 0.7146 0.7705
0.0046 0.7854 0.2705
0.2801 0.2140 0.5054
0.2801 0.7860 0.4946
0.7199 0.2140 0.4946
0.9954 0.2146 0.2705
0.2300 0.5050 0.2900
0.7801 0.2860 0.0054
0.5046 0.2854 0.2295
0.7801 0.7140 0.9946
0.7700 0.5050 0.7100
0.4954 0.7146 0.2295
0.7199 0.7860 0.5054
0.4954 0.2854 0.7705
0.9954 0.7854 0.7295
0.7300 0.9950 0.7900
0.7300 0.0050 0.2100
0.2199 0.7140 0.0054
0.2700 0.9950 0.2100
0.0046 0.2146 0.7295
0.7700 0.4950 0.2900
0.2700 0.0050 0.7900
0.2500 0.2500 0.2500
0.2500 0.7500 0.7500
0.7500 0.2500 0.7500
0.7500 0.7500 0.2500
0.5000 0.0000 0.5000
0.5000 0.0000 0.0000
0.0000 0.5000 0.5000
0.0000 0.5000 0.0000
0.2500 0.7500 0.2500
0.2500 0.2500 0.7500
0.7500 0.2500 0.2500
0.7500 0.7500 0.7500
0.0000 0.0000 0.0000
0.5000 0.5000 0.0000
0.0000 0.0000 0.5000
0.5000 0.5000 0.5000

---

2 | BaNaCeBiO6 PBE-GGA optimized geometry; M_tot = 0.00 μB per formula unit; mass density = 6.12 g/cm³; symmetry = F-43m (216)
1.0
0.0000 -4.3461 -4.3461
4.3461 0.0000 -4.3461
4.3461 -4.3461 0.0000
Bi O Ce Ba Na
1 6 1 1 1
direct
0.0000 0.0000 0.0000
0.7548 0.7548 0.2452
0.7548 0.2452 0.2452
0.7548 0.2452 0.7548
0.2452 0.7548 0.7548
0.2452 0.2452 0.7548
0.2452 0.7548 0.2452
0.5000 0.5000 0.5000
0.2500 0.2500 0.2500
0.7500 0.7500 0.7500

---

Preferred: 1; penalty for the next structure: 18 meV/atom.

---

1 | BaSrDyBiO6 PBE-GGA optimized geometry; M_tot = 0.00 μB per formula unit; mass density = 7.10 g/cm³; symmetry = F-43m (216)
1.0
3.0744 4.4053 -2.9302
-1.4214 1.3930 -5.7865
-2.7477 5.3155 -1.2810
Bi Dy O Ba Sr
1 1 6 1 1
direct
0.0000 0.0000 0.0000
0.5000 0.5000 0.5000
0.2445 0.7555 0.2445
0.7555 0.2445 0.2445
0.2445 0.2445 0.7555
0.2445 0.7555 0.7555
0.7555 0.2445 0.7555
0.7555 0.7555 0.2445
0.7500 0.7500 0.7500
0.2500 0.2500 0.2500

---

2 | BaSrDyBiO6 PBE-GGA optimized geometry; M_tot = 0.00 μB per formula unit; mass density = 7.20 g/cm³; symmetry = P222 (16)
1.0
-7.0297 2.1294 4.4852
-4.4609 -6.1374 -4.0776
2.1898 -5.6560 6.1174
O Sr Dy Ba Bi
24 4 4 4 4
direct
0.2146 0.2859 0.9937
0.4935 0.7095 0.2137
0.7854 0.7141 0.9937
0.2909 0.2172 0.5064
0.2742 0.9933 0.2222
0.0055 0.7758 0.2767
0.7258 0.0067 0.2222
0.7850 0.5054 0.7082
0.7091 0.2172 0.4936
0.4935 0.2905 0.7863
0.2909 0.7828 0.4936
0.2150 0.5054 0.2918
0.2146 0.7141 0.0063
0.9945 0.7758 0.7233
0.7258 0.9933 0.7778
0.9945 0.2242 0.2767
0.2150 0.4946 0.7082
0.7850 0.4946 0.2918
0.5065 0.7095 0.7863
0.5065 0.2905 0.2137
0.7091 0.7828 0.5064
0.0055 0.2242 0.7233
0.7854 0.2859 0.0063
0.2742 0.0067 0.7778
0.5000 0.0000 0.5000
0.5000 0.5000 0.0000
0.0000 0.5000 0.0000
0.0000 0.5000 0.5000
0.7500 0.2526 0.7495
0.7500 0.7474 0.2505
0.2500 0.2526 0.2505
0.2500 0.7474 0.7495
0.5000 0.0000 0.0000
0.0000 0.0000 0.5000
0.5000 0.5000 0.5000
0.0000 0.0000 0.0000
0.2500 0.7469 0.2506
0.7500 0.7469 0.7494
0.2500 0.2531 0.7494
0.7500 0.2531 0.2506

---

Preferred: 2; penalty for the next structure: 37 meV/atom.

---

1 | BaEuBiSbO6 PBE-GGA optimized geometry; M_tot = 7.00 μB per formula unit; mass density = 7.44 g/cm³; symmetry = F-43m (216)
1.0
0.0000 -4.3067 -4.3067
4.3067 0.0000 -4.3067
4.3067 -4.3067 0.0000
O Sb Eu Bi Ba
6 1 1 1 1
direct
0.7333 0.7333 0.2667
0.7333 0.2667 0.2667
0.7333 0.2667 0.7333
0.2667 0.2667 0.7333
0.2667 0.7333 0.7333
0.2667 0.7333 0.2667
0.5000 0.5000 0.5000
0.2500 0.2500 0.2500
0.0000 0.0000 0.0000
0.7500 0.7500 0.7500

---

2 | BaEuBiSbO6 PBE-GGA optimized geometry; M_tot = 6.97 μB per formula unit; mass density = 7.44 g/cm³; symmetry = P-1 (2)
1.0
6.0577 -0.0001 -0.0263
0.0013 6.1351 0.0115
-0.0365 0.0175 8.5974
O Bi Sb Eu Ba
12 2 2 2 2
direct
0.8966 0.5066 0.7284
0.7676 0.8027 0.0324
0.2694 0.6915 0.5560
0.2324 0.1973 0.9676
0.7306 0.3085 0.4440
0.5665 0.0489 0.7693
0.1974 0.2370 0.5451
0.4335 0.9511 0.2307
0.8026 0.7630 0.4549
0.3176 0.7220 0.9489
0.6824 0.2780 0.0511
0.1034 0.4934 0.2716
0.5000 0.0000 0.5000
0.0000 0.5000 0.0000
0.0000 0.5000 0.5000
0.5000 0.0000 0.0000
0.4868 0.4595 0.7528
0.5132 0.5405 0.2472
0.0053 0.9683 0.7506
0.9947 0.0317 0.2494

---

Preferred: 2; penalty for the next structure: 65 meV/atom.

---

1 | BaEuSnBiO6 PBE-GGA optimized geometry; M_tot = 6.08 μB per formula unit; mass density = 7.43 g/cm³; symmetry = Pnnn (48)
1.0
-1.8557 -7.6991 -3.5569
5.8050 -3.7907 5.1767
-6.0251 -1.2472 5.8432
Bi O Ba Sn Eu
4 24 4 4 4
direct
0.2500 0.7500 0.2500
0.7500 0.2500 0.2500
0.2500 0.2500 0.7500
0.7500 0.7500 0.7500
0.9877 0.1952 0.7031
0.4877 0.3048 0.2031
0.9877 0.8048 0.2969
0.7940 0.2870 0.9862
0.2966 0.0124 0.1946
0.2966 0.9876 0.8054
0.4877 0.6952 0.7969
0.7966 0.5124 0.3054
0.7060 0.2130 0.5138
0.5123 0.6952 0.2031
0.7940 0.7130 0.0138
0.2034 0.4876 0.3054
0.2940 0.7870 0.5138
0.2060 0.7130 0.9862
0.7060 0.7870 0.4862
0.2034 0.5124 0.6946
0.0123 0.1952 0.2969
0.2060 0.2870 0.0138
0.7034 0.9876 0.1946
0.7966 0.4876 0.6946
0.5123 0.3048 0.7969
0.2940 0.2130 0.4862
0.7034 0.0124 0.8054
0.0123 0.8048 0.7031
0.0000 0.5000 0.0000
0.5000 0.0000 0.5000
0.5000 0.5000 0.5000
0.0000 0.0000 0.0000
0.7500 0.2500 0.7500
0.7500 0.7500 0.2500
0.2500 0.7500 0.7500
0.2500 0.2500 0.2500
0.5000 0.0000 0.0000
0.0000 0.5000 0.5000
0.0000 0.0000 0.5000
0.5000 0.5000 0.0000

---

2 | BaEuSnBiO6 PBE-GGA optimized geometry; M_tot = 6.52 μB per formula unit; mass density = 7.48 g/cm³; symmetry = F-43m (216)
1.0
5.1881 0.7760 -3.0591
-0.0494 2.7512 -5.4134
2.3674 5.5596 -0.6021
Ba O Eu Bi Sn
1 6 1 1 1
direct
0.2500 0.2500 0.2500
0.2587 0.7413 0.7413
0.7413 0.7413 0.2587
0.7413 0.2587 0.7413
0.2587 0.7413 0.2587
0.7413 0.2587 0.2587
0.2587 0.2587 0.7413
0.7500 0.7500 0.7500
0.0000 0.0000 0.0000
0.5000 0.5000 0.5000

---

Preferred: 1; penalty for the next structure: 66 meV/atom.

---

1 | BaEuYBiO6 PBE-GGA optimized geometry; M_tot = 6.97 μB per formula unit; mass density = 6.97 g/cm³; symmetry = F-43m (216)
1.0
4.2893 2.3774 3.6773
0.9648 6.0528 0.0702
-1.6465 3.3094 4.8897
O Bi Eu Ba Y
6 1 1 1 1
direct
0.7552 0.2448 0.7552
0.2448 0.2448 0.7552
0.7552 0.2448 0.2448
0.2448 0.7552 0.7552
0.7552 0.7552 0.2448
0.2448 0.7552 0.2448
0.0000 0.0000 0.0000
0.2500 0.2500 0.2500
0.7500 0.7500 0.7500
0.5000 0.5000 0.5000

---

2 | BaEuYBiO6 PBE-GGA optimized geometry; M_tot = 6.89 μB per formula unit; mass density = 6.97 g/cm³; symmetry = P-1 (2)
1.0
6.0793 0.0077 0.0036
0.0100 6.1815 -0.0029
0.0072 -0.0021 8.6601
O Y Bi Eu Ba
12 2 2 2 2
direct
0.5718 0.0379 0.7459
0.1034 0.4881 0.2449
0.2207 0.2139 0.5456
0.2958 0.6939 0.9503
0.4282 0.9621 0.2541
0.7793 0.7861 0.4544
0.2113 0.2210 0.9540
0.6925 0.2978 0.4514
0.7887 0.7790 0.0460
0.3075 0.7022 0.5486
0.8966 0.5119 0.7551
0.7042 0.3061 0.0497
0.5000 0.0000 0.0000
0.0000 0.5000 0.5000
0.5000 0.0000 0.5000
0.0000 0.5000 0.0000
0.4905 0.4542 0.7495
0.5095 0.5458 0.2505
0.9898 0.0367 0.2501
0.0102 0.9633 0.7499

---

Preferred: 2; penalty for the next structure: 86 meV/atom.

---

1 | BaBi2I2O2 PBE-GGA optimized geometry; M_tot = 0.00 μB per formula unit; mass density = 4.74 g/cm³; symmetry = I4mm (107)
1.0
8.4199 -11.5321 9.8304
7.1381 -7.5017 13.9030
-10.3129 8.1446 -11.3062
O Bi Ba I
2 2 1 2
direct
0.9575 0.4575 0.5000
0.4575 0.9575 0.5000
0.4220 0.4220 0.0000
0.9913 0.9913 0.0000
0.5850 0.5850 0.0000
0.8690 0.8690 0.0000
0.1403 0.1403 0.0000

---

2 | BaBi2I2O2 PBE-GGA optimized geometry; M_tot = 0.32 μB per formula unit; mass density = 4.73 g/cm³; symmetry = I4mm (107)
1.0
-2.4174 2.4174 12.6197
2.4174 -2.4174 12.6197
2.4174 2.4174 -12.6197
O Bi I Ba
2 2 2 1
direct
0.9645 0.4645 0.5000
0.4645 0.9645 0.5000
0.9775 0.9775 0.0000
0.4393 0.4393 0.0000
0.7143 0.7143 0.0000
0.1132 0.1132 0.0000
0.5907 0.5907 0.0000

---

3 | BaBi2I2O2 PBE-GGA optimized geometry; M_tot = 0.08 μB per formula unit; mass density = 6.85 g/cm³; symmetry = I-4m2 (119)
1.0
-8.5196 -11.5652 1.1038
-10.4500 -8.5192 5.0768
7.7430 11.1626 -4.7956
Bi I O Ba
2 2 2 1
direct
0.3812 0.3812 0.0000
0.6188 0.6188 0.0000
0.1916 0.1916 0.0000
0.8084 0.8084 0.0000
0.5632 0.0632 0.5000
0.9368 0.4368 0.5000
0.5000 0.5000 0.0000

---

Preferred: 1; penalty for the next structure: 108 meV/atom.

---

1 | KBaPrBiO6 PBE-GGA optimized geometry; M_tot = 1.00 μB per formula unit; mass density = 5.87 g/cm³; symmetry = Pnnn (48)
1.0
-8.8126 0.2103 -1.0877
0.1196 -8.5247 -2.6171
-1.1022 -2.6024 8.4265
Bi Pr O K Ba
4 4 24 4 4
direct
0.7500 0.7500 0.7500
0.2500 0.7500 0.2500
0.7500 0.2500 0.2500
0.2500 0.2500 0.7500
0.2500 0.2500 0.2500
0.7500 0.2500 0.7500
0.2500 0.7500 0.7500
0.7500 0.7500 0.2500
0.5125 0.2856 0.2299
0.2616 0.0128 0.7764
0.4875 0.7144 0.2299
0.9875 0.7856 0.7299
0.2384 0.5128 0.2764
0.2384 0.4872 0.7236
0.2270 0.7284 0.0131
0.2730 0.2284 0.5131
0.7384 0.0128 0.2236
0.0125 0.7856 0.2701
0.9875 0.2144 0.2701
0.7730 0.7284 0.9869
0.7384 0.9872 0.7764
0.4875 0.2856 0.7701
0.7730 0.2716 0.0131
0.2616 0.9872 0.2236
0.7270 0.7716 0.5131
0.7616 0.4872 0.2764
0.7270 0.2284 0.4869
0.7616 0.5128 0.7236
0.5125 0.7144 0.7701
0.2270 0.2716 0.9869
0.2730 0.7716 0.4869
0.0125 0.2144 0.7299
0.5000 0.0000 0.0000
0.0000 0.5000 0.5000
0.5000 0.0000 0.5000
0.0000 0.5000 0.0000
0.5000 0.5000 0.0000
0.0000 0.0000 0.5000
0.0000 0.0000 0.0000
0.5000 0.5000 0.5000

---

2 | KBaPrBiO6 PBE-GGA optimized geometry; M_tot = 1.00 μB per formula unit; mass density = 5.80 g/cm³; symmetry = F-43m (216)
1.0
0.0000 -4.4666 -4.4666
4.4666 0.0000 -4.4666
4.4666 -4.4666 0.0000
O K Pr Ba Bi
6 1 1 1 1
direct
0.7618 0.2382 0.2382
0.7618 0.2382 0.7618
0.2382 0.2382 0.7618
0.2382 0.7618 0.7618
0.7618 0.7618 0.2382
0.2382 0.7618 0.2382
0.2500 0.2500 0.2500
0.5000 0.5000 0.5000
0.7500 0.7500 0.7500
0.0000 0.0000 0.0000

---

Preferred: 1; penalty for the next structure: 9 meV/atom.